w | Material: LiCo2P2O8
Method: DFT, PBE+U
State: relaxed

Summary:
Volume in Å³ per cell: 359

Cell and atoms, written as CIF:
```
data_LiCo2P2O8
_chemical_formula_sum 'Li2 Co4 P4 O16'
_cell_length_a 5.2657
_cell_length_b 7.9234
_cell_length_c 8.7748
_cell_angle_alpha 87.63
_cell_angle_beta 86.99
_cell_angle_gamma 79.52
_space_group_name_H-M_alt 'P 1'
_space_group_IT_number 1
loop_
_space_group_symop_operation_xyz
'x,y,z'
loop_
_atom_site_label
_atom_site_type_symbol
_atom_site_fract_x
_atom_site_fract_y
_atom_site_fract_z
Li1 Li 0.0000 0.0000 0.0000
Li2 Li 0.2932 0.4222 0.4166
Co1 Co 0.3583 0.1768 0.7338
Co2 Co 0.4228 0.6558 0.0849
Co3 Co 0.7989 0.2963 0.2015
Co4 Co 0.8738 0.7845 0.5467
P1 P 0.3537 0.7698 0.7464
P2 P 0.3548 0.2567 0.0799
P3 P 0.8795 0.6868 0.2146
P4 P 0.8811 0.1872 0.5412
O1 O 0.0590 0.7792 0.1104
O2 O 0.1062 0.7081 0.6958
O3 O 0.1382 0.2547 0.5547
O4 O 0.1530 0.1617 0.1653
O5 O 0.2696 0.9526 0.8115
O6 O 0.2731 0.3079 0.9189
O7 O 0.3917 0.4129 0.1786
O8 O 0.4885 0.6435 0.8653
O9 O 0.5323 0.7779 0.5991
O10 O 0.6017 0.7852 0.2239
O11 O 0.6396 0.1483 0.0830
O12 O 0.7167 0.3010 0.4160
O13 O 0.7208 0.1977 0.6925
O14 O 0.8637 0.5114 0.1390
O15 O 0.9406 0.0006 0.4829
O16 O 0.9954 0.6414 0.3754
```



x | Material: LiCo2P2O8
Method: DFT, PBE+U
State: relaxed

Summary:
Volume in Å³ per cell: 361

Cell and atoms, written as CIF:
```
data_LiCo2P2O8
_chemical_formula_sum 'Li2 Co4 P4 O16'
_cell_length_a 6.7617
_cell_length_b 7.7804
_cell_length_c 6.8706
_cell_angle_alpha 90.00
_cell_angle_beta 90.06
_cell_angle_gamma 90.00
_space_group_name_H-M_alt 'C 1 2 1'
_space_group_IT_number 5
loop_
_space_group_symop_operation_xyz
'x,y,z'
'-x,y,-z'
'x+1/2,y+1/2,z'
'-x+1/2,y+1/2,-z'
loop_
_atom_site_label
_atom_site_type_symbol
_atom_site_fract_x
_atom_site_fract_y
_atom_site_fract_z
Li1 Li 0.0000 0.0000 0.0000
Co1 Co 0.0000 0.0032 0.5000
Co2 Co 0.0000 0.5052 0.0000
P1 P 0.2503 0.2521 0.2489
O1 O 0.0537 0.6519 0.7944
O2 O 0.0710 0.1282 0.2531
O3 O 0.2256 0.3754 0.0663
O4 O 0.2264 0.8549 0.5639
```



y | Material: LiCo2P2O8
Method: DFT, PBE+U
State: relaxed

Summary:
Volume in Å³ per cell: 1089

Cell and atoms, written as CIF:
```
data_LiCo2P2O8
_chemical_formula_sum 'Li6 Co12 P12 O48'
_cell_length_a 8.1787
_cell_length_b 8.8020
_cell_length_c 15.1346
_cell_angle_alpha 89.18
_cell_angle_beta 89.28
_cell_angle_gamma 89.89
_space_group_name_H-M_alt 'P 1'
_space_group_IT_number 1
loop_
_space_group_symop_operation_xyz
'x,y,z'
loop_
_atom_site_label
_atom_site_type_symbol
_atom_site_fract_x
_atom_site_fract_y
_atom_site_fract_z
Li1 Li 0.0000 0.0000 0.0000
Li2 Li 0.0288 0.6155 0.4693
Li3 Li 0.3220 0.1025 0.3058
Li4 Li 0.4576 0.5564 0.1387
Li5 Li 0.6556 0.5976 0.8039
Li6 Li 0.9648 0.0817 0.6362
Co1 Co 0.1479 0.2935 0.1435
Co2 Co 0.1534 0.2568 0.4728
Co3 Co 0.1534 0.7649 0.2822
Co4 Co 0.3271 0.7954 0.6472
Co5 Co 0.3281 0.2737 0.7865
Co6 Co 0.3296 0.7532 0.9750
Co7 Co 0.6375 0.9070 0.4640
Co8 Co 0.6436 0.9528 0.1255
Co9 Co 0.6571 0.4299 0.3274
Co10 Co 0.8216 0.9307 0.8214
Co11 Co 0.8258 0.4518 0.6302
Co12 Co 0.8435 0.4136 0.9645
P1 P 0.2084 0.9397 0.8238
P2 P 0.2131 0.4623 0.6272
P3 P 0.2311 0.4159 0.9640
P4 P 0.2501 0.9029 0.4636
P5 P 0.2629 0.9610 0.1277
P6 P 0.2765 0.4361 0.3192
P7 P 0.7135 0.7387 0.9834
P8 P 0.7202 0.2700 0.7893
P9 P 0.7204 0.7980 0.6450
P10 P 0.7525 0.2995 0.1491
P11 P 0.7642 0.7750 0.2822
P12 P 0.7658 0.2355 0.4800
O1 O 0.0415 0.9321 0.8743
O2 O 0.0462 0.5229 0.5917
O3 O 0.0553 0.3400 0.9634
O4 O 0.1325 0.7963 0.4147
O5 O 0.1370 0.0821 0.0971
O6 O 0.1396 0.4415 0.3914
O7 O 0.2003 0.9065 0.5637
O8 O 0.2015 0.4231 0.7280
O9 O 0.2179 0.0912 0.7681
O10 O 0.2192 0.8079 0.0863
O11 O 0.2192 0.8086 0.7553
O12 O 0.2293 0.5760 0.9236
O13 O 0.2493 0.0658 0.4237
O14 O 0.2580 0.2933 0.2607
O15 O 0.2675 0.3196 0.5776
O16 O 0.2673 0.9447 0.2299
O17 O 0.2785 0.5788 0.2580
O18 O 0.2886 0.4160 0.0616
O19 O 0.3402 0.3076 0.9078
O20 O 0.3395 0.5941 0.6128
O21 O 0.3470 0.9240 0.8901
O22 O 0.4253 0.8334 0.4553
O23 O 0.4363 0.0154 0.0949
O24 O 0.4419 0.4209 0.3694
O25 O 0.5446 0.8637 0.6574
O26 O 0.5466 0.3021 0.7519
O27 O 0.5478 0.6934 0.0262
O28 O 0.6252 0.3985 0.2019
O29 O 0.6350 0.7855 0.2065
O30 O 0.6398 0.1067 0.5020
O31 O 0.6965 0.7640 0.8823
O32 O 0.7113 0.3181 0.0487
O33 O 0.7166 0.3850 0.5241
O34 O 0.7215 0.9005 0.3498
O35 O 0.7282 0.1291 0.1751
O36 O 0.7287 0.6359 0.6859
O37 O 0.7318 0.1281 0.8478
O38 O 0.7528 0.6183 0.3320
O39 O 0.7566 0.4134 0.8487
O40 O 0.7661 0.2632 0.3774
O41 O 0.7655 0.7925 0.5443
O42 O 0.7765 0.8901 0.0265
O43 O 0.8418 0.2688 0.7103
O44 O 0.8416 0.9058 0.6906
O45 O 0.8442 0.6151 0.0020
O46 O 0.9238 0.3539 0.1703
O47 O 0.9330 0.7970 0.2413
O48 O 0.9355 0.1783 0.5124
```



The relative energies come out as w 2.5; x 0.0; y 1.0, with values in kJ/mol of atoms.



w | Material: LiCo2P3O10
Method: DFT, PBE+U
State: relaxed

Summary:
Volume in Å³ per cell: 901

Cell and atoms, written as CIF:
```
data_LiCo2P3O10
_chemical_formula_sum 'Li4 Co8 P12 O40'
_cell_length_a 13.7944
_cell_length_b 8.5352
_cell_length_c 9.1676
_cell_angle_alpha 90.00
_cell_angle_beta 123.44
_cell_angle_gamma 90.00
_space_group_name_H-M_alt 'C 1 2/c 1'
_space_group_IT_number 15
loop_
_space_group_symop_operation_xyz
'x,y,z'
'-x,-y,-z'
'-x,y,-z+1/2'
'x,-y,z+1/2'
'x+1/2,y+1/2,z'
'-x+1/2,-y+1/2,-z'
'-x+1/2,y+1/2,-z+1/2'
'x+1/2,-y+1/2,z+1/2'
loop_
_atom_site_label
_atom_site_type_symbol
_atom_site_fract_x
_atom_site_fract_y
_atom_site_fract_z
Li1 Li 0.0000 0.0967 0.2500
Co1 Co 0.2294 0.0271 0.0435
P1 P 0.0000 0.4216 0.7500
P2 P 0.1342 0.1948 0.6914
O1 O 0.0212 0.3067 0.6301
O2 O 0.1077 0.4846 0.3717
O3 O 0.1186 0.1395 0.5206
O4 O 0.1239 0.0555 0.7889
O5 O 0.2441 0.2903 0.8077
```



x | Material: LiCo2P3O10
Method: DFT, PBE+U
State: relaxed

Summary:
Volume in Å³ per cell: 359

Cell and atoms, written as CIF:
```
data_LiCo2P3O10
_chemical_formula_sum 'Li2 Co4 P6 O20'
_cell_length_a 4.6562
_cell_length_b 8.5707
_cell_length_c 9.0733
_cell_angle_alpha 90.00
_cell_angle_beta 97.87
_cell_angle_gamma 90.00
_space_group_name_H-M_alt 'P 1 21/m 1'
_space_group_IT_number 11
loop_
_space_group_symop_operation_xyz
'x,y,z'
'-x,-y,-z'
'-x,y+1/2,-z'
'x,-y+1/2,z'
loop_
_atom_site_label
_atom_site_type_symbol
_atom_site_fract_x
_atom_site_fract_y
_atom_site_fract_z
Li1 Li 0.0000 0.0000 0.0000
Co1 Co 0.0367 0.0699 0.3360
P1 P 0.3283 0.2500 0.8226
P2 P 0.3946 0.7500 0.4614
P3 P 0.4575 0.2500 0.1446
O1 O 0.1585 0.0995 0.8138
O2 O 0.2239 0.5997 0.4820
O3 O 0.2423 0.7500 0.7606
O4 O 0.2834 0.1006 0.1584
O5 O 0.3028 0.2500 0.4474
O6 O 0.4356 0.7500 0.2876
O7 O 0.4508 0.7500 0.0241
```



The relative energies come out as w 1.4; x 0.0, with values in kJ/mol of atoms.



w | Material: LiCo3SbP6O24
Method: DFT, PBE+U
State: relaxed

Summary:
Volume in Å³ per cell: 435

Cell and atoms, written as CIF:
```
data_LiCo3SbP6O24
_chemical_formula_sum 'Li1 Co3 Sb1 P6 O24'
_cell_length_a 8.4877
_cell_length_b 8.4899
_cell_length_c 8.5132
_cell_angle_alpha 119.81
_cell_angle_beta 90.09
_cell_angle_gamma 119.98
_space_group_name_H-M_alt 'P 1'
_space_group_IT_number 1
loop_
_space_group_symop_operation_xyz
'x,y,z'
loop_
_atom_site_label
_atom_site_type_symbol
_atom_site_fract_x
_atom_site_fract_y
_atom_site_fract_z
Li1 Li 0.0000 0.0000 0.0000
Co1 Co 0.1408 0.2833 0.4310
Co2 Co 0.6402 0.2831 0.9304
Co3 Co 0.8555 0.7137 0.5823
Sb1 Sb 0.3600 0.7233 0.0951
P1 P 0.0249 0.4921 0.2565
P2 P 0.2471 0.2042 0.7582
P3 P 0.4666 0.2236 0.2592
P4 P 0.5437 0.7955 0.7574
P5 P 0.7536 0.7803 0.2558
P6 P 0.9532 0.5003 0.7579
O1 O 0.0424 0.3168 0.2466
O2 O 0.0765 0.0165 0.7631
O3 O 0.1197 0.6421 0.9480
O4 O 0.2077 0.2012 0.5837
O5 O 0.2234 0.6717 0.2692
O6 O 0.2735 0.1955 0.2479
O7 O 0.2910 0.4166 0.9482
O8 O 0.3743 0.5821 0.5793
O9 O 0.4183 0.1829 0.7594
O10 O 0.4445 0.0326 0.2661
O11 O 0.4988 0.1986 0.0728
O12 O 0.5161 0.8124 0.9447
O13 O 0.5662 0.9865 0.7580
O14 O 0.5855 0.8099 0.2659
O15 O 0.6276 0.4306 0.4488
O16 O 0.7009 0.5696 0.0649
O17 O 0.7383 0.8176 0.7648
O18 O 0.7599 0.3286 0.7547
O19 O 0.7991 0.7987 0.4404
O20 O 0.8684 0.3634 0.0660
O21 O 0.9214 0.9695 0.2524
O22 O 0.9393 0.6803 0.7662
O23 O 0.9908 0.3693 0.5829
O24 O 0.9990 0.6288 0.4449
```



x | Material: LiCo3SbP6O24
Method: DFT, PBE+U
State: relaxed

Summary:
Volume in Å³ per cell: 1377

Cell and atoms, written as CIF:
```
data_LiCo3SbP6O24
_chemical_formula_sum 'Li3 Co9 Sb3 P18 O72'
_cell_length_a 8.5631
_cell_length_b 8.5631
_cell_length_c 21.6848
_cell_angle_alpha 90.00
_cell_angle_beta 90.00
_cell_angle_gamma 120.00
_space_group_name_H-M_alt 'R 3'
_space_group_IT_number 146
_space_group_name_Hall 'R 3'
loop_
_atom_site_label
_atom_site_type_symbol
_atom_site_fract_x
_atom_site_fract_y
_atom_site_fract_z
Li1 Li 0.0000 0.0000 0.0000
Co1 Co 0.0000 0.0000 0.3661
Co2 Co 0.0000 0.0000 0.6538
Co3 Co 0.0000 0.0000 0.8623
Sb1 Sb 0.0000 0.0000 0.1539
P1 P 0.0462 0.6715 0.4253
P2 P 0.0480 0.3789 0.9300
O1 O 0.0256 0.1889 0.9271
O2 O 0.0275 0.2080 0.2017
O3 O 0.0268 0.8394 0.4210
O4 O 0.0294 0.8281 0.7019
O5 O 0.1477 0.6854 0.4850
O6 O 0.1672 0.4722 0.2676
O7 O 0.1677 0.4673 0.9864
O8 O 0.1707 0.6899 0.7599
```



The relative energies come out as w 0.0; x 2.0, with values in kJ/mol of atoms.